# 1
A plane-wave DFT calculation with PBE was carried out for Sm2SiTeO4 after structural relaxation. Values from VASP.

Geometry as Quantum ESPRESSO input:
```
&SYSTEM
  ibrav = 0, nat = 32, ntyp = 4
/
ATOMIC_SPECIES
Sm 150.36 Sm.upf
Si 28.09 Si.upf
Te 127.60 Te.upf
O 16.00 O.upf
CELL_PARAMETERS angstrom
-1.498 0.759 6.170
4.995 -6.826 2.052
8.272 5.254 1.363
ATOMIC_POSITIONS crystal
Sm 0.304 0.836 0.655
Sm 0.196 0.336 0.655
Sm 0.696 0.164 0.345
Sm 0.804 0.664 0.345
Sm 0.154 0.305 0.108
Sm 0.654 0.195 0.892
Sm 0.846 0.695 0.892
Sm 0.346 0.805 0.108
Si 0.809 0.944 0.125
Si 0.191 0.056 0.875
Si 0.309 0.556 0.875
Si 0.691 0.444 0.125
Te 0.714 0.380 0.589
Te 0.214 0.120 0.411
Te 0.286 0.620 0.411
Te 0.786 0.880 0.589
O 0.866 0.409 0.247
O 0.366 0.091 0.753
O 0.134 0.591 0.753
O 0.634 0.909 0.247
O 0.507 0.317 0.160
O 0.007 0.183 0.840
O 0.493 0.683 0.840
O 0.993 0.817 0.160
O 0.866 0.127 0.125
O 0.196 0.577 0.022
O 0.134 0.873 0.875
O 0.634 0.627 0.125
O 0.304 0.077 0.022
O 0.804 0.423 0.978
O 0.696 0.923 0.978
O 0.366 0.373 0.875
```

Properties
E ... -243.2 eV per cell
Energy above the most stable polymorph in this dataset ... 0.06 eV/f.u.
Spin magnetization ... 0.00 μB per cell
Total energy after the MP2020 corrections ... -7.94 eV/atom
Calculated volume ... 17.1 Å³/atom


# 2
A plane-wave DFT calculation with PBE was carried out for Sm2SiTeO4 after structural relaxation. Values from VASP.

Geometry as Quantum ESPRESSO input:
```
&SYSTEM
  ibrav = 0, nat = 32, ntyp = 4
/
ATOMIC_SPECIES
Sm 150.36 Sm.upf
Si 28.09 Si.upf
Te 127.60 Te.upf
O 16.00 O.upf
CELL_PARAMETERS angstrom
6.284 0.000 0.000
0.000 7.177 0.000
0.000 0.000 11.218
ATOMIC_POSITIONS crystal
Sm 0.388 0.750 0.500
Sm 0.388 0.750 0.000
Sm 0.612 0.250 0.500
Sm 0.612 0.250 0.000
Sm 0.887 0.963 0.750
Sm 0.887 0.537 0.250
Sm 0.113 0.463 0.750
Sm 0.113 0.037 0.250
Si 0.114 0.250 0.000
Si 0.886 0.750 0.000
Si 0.886 0.750 0.500
Si 0.114 0.250 0.500
Te 0.595 0.584 0.750
Te 0.595 0.916 0.250
Te 0.405 0.084 0.750
Te 0.405 0.416 0.250
O 0.271 0.075 0.465
O 0.271 0.425 0.535
O 0.729 0.575 0.035
O 0.729 0.925 0.965
O 0.729 0.925 0.535
O 0.729 0.575 0.465
O 0.271 0.425 0.965
O 0.271 0.075 0.035
O 0.050 0.767 0.384
O 0.050 0.767 0.116
O 0.950 0.267 0.116
O 0.950 0.233 0.884
O 0.950 0.233 0.616
O 0.950 0.267 0.384
O 0.050 0.733 0.884
O 0.050 0.733 0.616
```

Properties
E ... -243.4 eV per cell
Energy above the most stable polymorph in this dataset ... 0.00 eV/f.u.
Spin magnetization ... 0.00 μB per cell
Total energy after the MP2020 corrections ... -7.95 eV/atom
Calculated volume ... 15.8 Å³/atom


# 3
A plane-wave DFT calculation with PBE was carried out for SiSnO4 after structural relaxation. Values from VASP.

Geometry as Quantum ESPRESSO input:
```
&SYSTEM
  ibrav = 0, nat = 72, ntyp = 3
/
ATOMIC_SPECIES
Si 28.09 Si.upf
Sn 118.71 Sn.upf
O 16.00 O.upf
CELL_PARAMETERS angstrom
-5.840 5.840 5.840
5.840 -5.840 5.840
5.840 5.840 -5.840
ATOMIC_POSITIONS crystal
Si 0.125 0.875 0.250
Si 0.250 0.125 0.875
Si 0.750 0.375 0.625
Si 0.625 0.375 0.250
Si 0.625 0.750 0.375
Si 0.375 0.625 0.750
Si 0.125 0.750 0.875
Si 0.750 0.875 0.125
Si 0.875 0.250 0.125
Si 0.375 0.250 0.625
Si 0.250 0.625 0.375
Si 0.875 0.125 0.750
Sn 0.875 0.625 0.250
Sn 0.625 0.250 0.875
Sn 0.875 0.750 0.625
Sn 0.750 0.625 0.875
Sn 0.250 0.875 0.625
Sn 0.625 0.875 0.750
Sn 0.125 0.375 0.750
Sn 0.375 0.750 0.125
Sn 0.125 0.250 0.375
Sn 0.250 0.375 0.125
Sn 0.750 0.125 0.375
Sn 0.375 0.125 0.250
O 0.470 0.370 0.276
O 0.306 0.899 0.030
O 0.601 0.906 0.130
O 0.594 0.194 0.224
O 0.130 0.030 0.224
O 0.194 0.224 0.594
O 0.194 0.470 0.601
O 0.224 0.594 0.194
O 0.370 0.594 0.899
O 0.906 0.276 0.306
O 0.276 0.306 0.906
O 0.224 0.130 0.030
O 0.470 0.601 0.194
O 0.899 0.370 0.594
O 0.030 0.224 0.130
O 0.601 0.194 0.470
O 0.594 0.899 0.370
O 0.030 0.306 0.899
O 0.906 0.130 0.601
O 0.630 0.406 0.101
O 0.370 0.276 0.470
O 0.276 0.470 0.370
O 0.899 0.030 0.306
O 0.306 0.906 0.276
O 0.530 0.630 0.724
O 0.694 0.101 0.970
O 0.399 0.094 0.870
O 0.406 0.806 0.776
O 0.870 0.970 0.776
O 0.806 0.776 0.406
O 0.806 0.530 0.399
O 0.776 0.406 0.806
O 0.694 0.094 0.724
O 0.101 0.970 0.694
O 0.724 0.530 0.630
O 0.630 0.724 0.530
O 0.870 0.399 0.094
O 0.094 0.870 0.399
O 0.970 0.694 0.101
O 0.406 0.101 0.630
O 0.399 0.806 0.530
O 0.970 0.776 0.870
O 0.101 0.630 0.406
O 0.530 0.399 0.806
O 0.776 0.870 0.970
O 0.724 0.694 0.094
O 0.094 0.724 0.694
O 0.130 0.601 0.906
```

Properties
E ... -485.3 eV per cell
Spin magnetization ... 0.00 μB per cell
Total energy after the MP2020 corrections ... -7.20 eV/atom
Calculated volume ... 11.1 Å³/atom


# 4
A plane-wave DFT calculation with PBE was carried out for Y2Si3Sn3O12 after structural relaxation. Values from VASP.

Geometry as Quantum ESPRESSO input:
```
&SYSTEM
  ibrav = 0, nat = 80, ntyp = 4
/
ATOMIC_SPECIES
Y 88.91 Y.upf
Si 28.09 Si.upf
Sn 118.71 Sn.upf
O 16.00 O.upf
CELL_PARAMETERS angstrom
-6.510 6.510 6.510
6.510 -6.510 6.510
6.510 6.510 -6.510
ATOMIC_POSITIONS crystal
Y 0.000 0.000 0.500
Y 0.000 0.000 0.000
Y 0.500 0.000 0.000
Y 0.000 0.500 0.000
Y 0.500 0.500 0.000
Y 0.000 0.500 0.500
Y 0.500 0.000 0.500
Y 0.500 0.500 0.500
Si 0.125 0.875 0.250
Si 0.250 0.125 0.875
Si 0.750 0.375 0.625
Si 0.625 0.375 0.250
Si 0.625 0.750 0.375
Si 0.375 0.625 0.750
Si 0.125 0.750 0.875
Si 0.750 0.875 0.125
Si 0.875 0.250 0.125
Si 0.375 0.250 0.625
Si 0.250 0.625 0.375
Si 0.875 0.125 0.750
Sn 0.875 0.625 0.250
Sn 0.625 0.250 0.875
Sn 0.875 0.750 0.625
Sn 0.750 0.625 0.875
Sn 0.250 0.875 0.625
Sn 0.625 0.875 0.750
Sn 0.125 0.375 0.750
Sn 0.375 0.750 0.125
Sn 0.125 0.250 0.375
Sn 0.250 0.375 0.125
Sn 0.750 0.125 0.375
Sn 0.375 0.125 0.250
O 0.498 0.383 0.291
O 0.293 0.885 0.002
O 0.615 0.908 0.117
O 0.592 0.207 0.209
O 0.117 0.002 0.209
O 0.207 0.209 0.592
O 0.207 0.498 0.615
O 0.209 0.592 0.207
O 0.383 0.592 0.885
O 0.908 0.291 0.293
O 0.291 0.293 0.908
O 0.209 0.117 0.002
O 0.498 0.615 0.207
O 0.885 0.383 0.592
O 0.002 0.209 0.117
O 0.615 0.207 0.498
O 0.592 0.885 0.383
O 0.002 0.293 0.885
O 0.908 0.117 0.615
O 0.617 0.408 0.115
O 0.383 0.291 0.498
O 0.291 0.498 0.383
O 0.885 0.002 0.293
O 0.293 0.908 0.291
O 0.502 0.617 0.709
O 0.707 0.115 0.998
O 0.385 0.092 0.883
O 0.408 0.793 0.791
O 0.883 0.998 0.791
O 0.793 0.791 0.408
O 0.793 0.502 0.385
O 0.791 0.408 0.793
O 0.707 0.092 0.709
O 0.115 0.998 0.707
O 0.709 0.502 0.617
O 0.617 0.709 0.502
O 0.883 0.385 0.092
O 0.092 0.883 0.385
O 0.998 0.707 0.115
O 0.408 0.115 0.617
O 0.385 0.793 0.502
O 0.998 0.791 0.883
O 0.115 0.617 0.408
O 0.502 0.385 0.793
O 0.791 0.883 0.998
O 0.709 0.707 0.092
O 0.092 0.709 0.707
O 0.117 0.615 0.908
```

Properties
E ... -598.7 eV per cell
Spin magnetization ... 0.05 μB per cell
Total energy after the MP2020 corrections ... -7.90 eV/atom
Calculated volume ... 13.8 Å³/atom


Looking at formation energy from the elements for the records above, in order, we have -3217.4 -3224.7 -2327.4 -2865.1 meV per atom.